# 1
Entry from Materials Project: a relaxed Ba2La4CuPtO10 crystal (GGA-PBE).

The structure belongs to space group Cmmm (No. 65); the cell edges are 9.769, 9.818 and 5.951 Å and the angles 90.00°, 90.00° and 90.00°. The asymmetric unit holds Ba at (0.250, 0.250, 0.000), La at (0.000, 0.179, 0.500), La at (0.174, 0.500, 0.500), Cu at (0.000, 0.500, 0.000), Pt at (0.000, 0.000, 0.000), O at (0.000, 0.363, 0.242), O at (0.142, 0.000, 0.248) and O at (0.250, 0.250, 0.500).

=====

# 2
Entry from Materials Project: a relaxed BaLaCuRuO6 crystal (GGA-PBE).

The structure belongs to space group I-4 (No. 82); the cell edges are 5.514, 5.514 and 8.604 Å and the angles 90.00°, 90.00° and 90.00°. The asymmetric unit holds Ba at (0.000, 0.000, 0.000), La at (0.000, 0.000, 0.500), Cu at (0.000, 0.500, 0.250), Ru at (0.000, 0.500, 0.750), O at (0.000, 0.500, 0.518) and O at (0.195, 0.798, 0.723).

=====

| no. | energy of formation from the pure elements (meV/atom) |
| --- | --- |
| 1 | -3018.4 |
| 2 | -2265.4 |